[1]
Here is an optimized crystal structure of MgFe3O3F3 from Materials Project. Energies are from PBE with a Hubbard U.

Calculated values
* energy of formation: -2.272 eV/atom
* theoretical density: 4254 kg/m3
* calculated volume: 115.9 Å³/cell

Unit cell a=5.2642 b=5.2769 c=5.6566 alpha=63.20 beta=62.55 gamma=60.18
Space group P1 (No. 1)
Asymmetric unit:
1 Mg 0.0000 0.0000 0.0000 (multiplicity 1)
2 Fe 0.1865 0.1881 0.4381 (multiplicity 1)
3 Fe 0.4745 0.4675 0.5907 (multiplicity 1)
4 Fe 0.7158 0.7087 0.8645 (multiplicity 1)
5 O 0.0824 0.4057 0.7132 (multiplicity 1)
6 O 0.4086 0.7940 0.7229 (multiplicity 1)
7 O 0.7928 0.0738 0.7208 (multiplicity 1)
8 F 0.2808 0.9120 0.2065 (multiplicity 1)
9 F 0.6105 0.3001 0.1987 (multiplicity 1)
10 F 0.9000 0.6116 0.1994 (multiplicity 1)

=====

[2]
Here is an optimized crystal structure of Li4Nb2V3Fe3O16 from Materials Project. Energies are from PBE with a Hubbard U.

Calculated values
* energy of formation: -2.380 eV/atom
* theoretical density: 4424 kg/m3
* calculated volume: 593.0 Å³/cell

Unit cell a=10.3447 b=5.8651 c=9.7745 alpha=90.00 beta=90.69 gamma=90.00
Space group Cm (No. 8)
Asymmetric unit:
1 Li 0.0000 0.0000 0.0000 (multiplicity 2)
2 Li 0.0009 0.0000 0.5010 (multiplicity 2)
3 Li 0.1626 0.5000 0.4094 (multiplicity 2)
4 Li 0.3294 0.0000 0.9104 (multiplicity 2)
5 Nb 0.1690 0.5000 0.0079 (multiplicity 2)
6 Nb 0.3312 0.0000 0.5052 (multiplicity 2)
7 V 0.0859 0.2664 0.7276 (multiplicity 4)
8 V 0.1717 0.0000 0.2323 (multiplicity 2)
9 Fe 0.3305 0.5000 0.7248 (multiplicity 2)
10 Fe 0.4171 0.2341 0.2247 (multiplicity 4)
11 O 0.0100 0.0000 0.3118 (multiplicity 2)
12 O 0.0102 0.0000 0.8118 (multiplicity 2)
13 O 0.0141 0.5000 0.8525 (multiplicity 2)
14 O 0.0837 0.2490 0.1017 (multiplicity 4)
15 O 0.1565 0.5000 0.6120 (multiplicity 2)
16 O 0.1665 0.0000 0.6082 (multiplicity 2)
17 O 0.2354 0.2764 0.8499 (multiplicity 4)
18 O 0.2537 0.2217 0.3543 (multiplicity 4)
19 O 0.3146 0.0000 0.1166 (multiplicity 2)
20 O 0.3346 0.5000 0.0986 (multiplicity 2)
21 O 0.4178 0.2503 0.6040 (multiplicity 4)
22 O 0.4796 0.0000 0.3603 (multiplicity 2)

=====

[3]
Here is an optimized crystal structure of Li3Fe2Si2O8 from Materials Project. Energies are from PBE with a Hubbard U.

Calculated values
* energy of formation: -2.515 eV/atom
* theoretical density: 2951 kg/m3
* calculated volume: 178.2 Å³/cell

Unit cell a=5.0322 b=5.3340 c=6.6400 alpha=90.52 beta=90.10 gamma=90.66
Space group P1 (No. 1)
Asymmetric unit:
1 Li 0.0000 0.0000 0.0000 (multiplicity 1)
2 Li 0.0086 0.4682 0.7426 (multiplicity 1)
3 Li 0.5039 0.8282 0.2461 (multiplicity 1)
4 Fe 0.0070 0.4715 0.2587 (multiplicity 1)
5 Fe 0.5030 0.8286 0.7391 (multiplicity 1)
6 Si 0.0054 0.9787 0.4922 (multiplicity 1)
7 Si 0.5164 0.3396 0.9917 (multiplicity 1)
8 O 0.3281 0.9204 0.5024 (multiplicity 1)
9 O 0.4022 0.4741 0.1930 (multiplicity 1)
10 O 0.4015 0.4975 0.7956 (multiplicity 1)
11 O 0.4091 0.0395 0.9693 (multiplicity 1)
12 O 0.8442 0.3406 0.9888 (multiplicity 1)
13 O 0.8803 0.8373 0.6998 (multiplicity 1)
14 O 0.8937 0.8480 0.2809 (multiplicity 1)
15 O 0.9444 0.2751 0.5055 (multiplicity 1)

=====

no.,VASP energy (eV/atom)
1,-6.010
2,-7.266
3,-6.721